1.
VASP calculation (PBE) on AgAsO3 after structural relaxation.

Output
- Calculated formation energy: -1.2482 eV per atom

Cell: 6.756 12.791 20.006 Å, 90.00 90.00 90.00°
Fractional coordinates of all 120 atoms:
O (0.492, 0.191, 0.582)
As (0.966, 0.802, 0.994)
As (0.543, 0.459, 0.745)
O (0.610, 0.549, 0.027)
O (0.364, 0.476, 0.808)
O (0.902, 0.071, 0.330)
As (0.793, 0.382, 0.875)
O (0.902, 0.571, 0.170)
Ag (0.501, 0.375, 0.561)
O (0.508, 0.691, 0.418)
O (0.021, 0.718, 0.277)
Ag (0.499, 0.875, 0.439)
O (0.543, 0.880, 0.317)
As (0.707, 0.881, 0.124)
As (0.459, 0.569, 0.446)
O (0.543, 0.380, 0.183)
O (0.393, 0.082, 0.279)
O (0.607, 0.582, 0.721)
As (0.541, 0.069, 0.554)
O (0.636, 0.976, 0.192)
O (0.167, 0.868, 0.032)
Ag (0.403, 0.710, 0.302)
As (0.459, 0.069, 0.054)
Ag (0.403, 0.210, 0.198)
O (0.131, 0.242, 0.362)
O (0.021, 0.218, 0.223)
O (0.281, 0.522, 0.389)
As (0.034, 0.302, 0.006)
O (0.390, 0.049, 0.973)
O (0.457, 0.380, 0.683)
O (0.105, 0.376, 0.073)
Ag (0.103, 0.629, 0.866)
As (0.293, 0.381, 0.876)
O (0.105, 0.876, 0.427)
O (0.281, 0.022, 0.111)
O (0.393, 0.582, 0.221)
As (0.049, 0.695, 0.696)
O (0.750, 0.896, 0.718)
O (0.250, 0.896, 0.218)
O (0.719, 0.022, 0.611)
Ag (0.597, 0.710, 0.802)
O (0.323, 0.491, 0.938)
O (0.677, 0.991, 0.062)
O (0.677, 0.491, 0.438)
O (0.869, 0.242, 0.862)
O (0.776, 0.790, 0.054)
O (0.776, 0.290, 0.446)
As (0.049, 0.195, 0.804)
Ag (0.501, 0.875, 0.939)
O (0.456, 0.329, 0.391)
O (0.098, 0.071, 0.830)
As (0.207, 0.382, 0.375)
O (0.719, 0.522, 0.889)
As (0.543, 0.959, 0.755)
As (0.541, 0.569, 0.946)
As (0.293, 0.881, 0.624)
Ag (0.546, 0.133, 0.888)
Ag (0.995, 0.049, 0.947)
O (0.976, 0.677, 0.475)
O (0.131, 0.742, 0.138)
As (0.457, 0.459, 0.245)
O (0.735, 0.772, 0.185)
O (0.610, 0.049, 0.473)
O (0.636, 0.476, 0.308)
Ag (0.103, 0.129, 0.634)
O (0.390, 0.549, 0.527)
Ag (0.936, 0.893, 0.310)
O (0.323, 0.991, 0.562)
O (0.265, 0.272, 0.815)
Ag (0.499, 0.375, 0.061)
O (0.167, 0.368, 0.468)
O (0.508, 0.191, 0.082)
Ag (0.936, 0.393, 0.190)
O (0.735, 0.272, 0.315)
Ag (0.005, 0.049, 0.447)
Ag (0.454, 0.133, 0.388)
O (0.869, 0.742, 0.638)
As (0.966, 0.302, 0.506)
Ag (0.546, 0.633, 0.612)
O (0.544, 0.829, 0.609)
O (0.976, 0.177, 0.025)
O (0.250, 0.396, 0.282)
O (0.042, 0.433, 0.860)
O (0.364, 0.976, 0.692)
Ag (0.064, 0.893, 0.810)
As (0.207, 0.882, 0.125)
O (0.833, 0.868, 0.532)
O (0.024, 0.177, 0.525)
O (0.098, 0.571, 0.670)
O (0.895, 0.376, 0.573)
Ag (0.995, 0.549, 0.553)
O (0.456, 0.829, 0.109)
O (0.265, 0.772, 0.685)
O (0.024, 0.677, 0.975)
O (0.042, 0.933, 0.640)
O (0.544, 0.329, 0.891)
O (0.895, 0.876, 0.927)
Ag (0.597, 0.210, 0.698)
As (0.457, 0.959, 0.255)
O (0.958, 0.433, 0.360)
O (0.457, 0.880, 0.817)
Ag (0.005, 0.549, 0.053)
As (0.951, 0.195, 0.304)
O (0.979, 0.718, 0.777)
O (0.750, 0.396, 0.782)
O (0.979, 0.218, 0.723)
As (0.034, 0.802, 0.494)
Ag (0.897, 0.129, 0.134)
O (0.607, 0.082, 0.779)
O (0.224, 0.290, 0.946)
O (0.492, 0.691, 0.918)
As (0.951, 0.695, 0.196)
Ag (0.897, 0.629, 0.366)
O (0.833, 0.368, 0.968)
Ag (0.064, 0.393, 0.690)
As (0.793, 0.882, 0.625)
As (0.707, 0.381, 0.376)
O (0.224, 0.790, 0.554)
Ag (0.454, 0.633, 0.112)
O (0.958, 0.933, 0.140)



2.
VASP calculation (PBE) on UAg3As3O12 after structural relaxation.

Output
- Calculated formation energy: -1.7516 eV per atom

Cell: 27.976 9.096 11.232 Å, 53.52 90.00 90.00°
Fractional coordinates of all 152 atoms:
U (0.863, 0.777, 0.329)
O (0.562, 0.738, 0.444)
O (0.108, 0.243, 0.805)
O (0.698, 0.535, 0.387)
As (0.253, 0.513, 0.030)
As (0.252, 0.949, 0.307)
O (0.398, 0.931, 0.272)
O (0.042, 0.753, 0.441)
As (0.010, 0.183, 0.152)
O (0.172, 0.242, 0.001)
O (0.306, 0.994, 0.347)
Ag (0.065, 0.006, 0.525)
O (0.056, 0.251, 0.571)
U (0.143, 0.248, 0.141)
Ag (0.813, 0.245, 0.836)
O (0.251, 0.926, 0.167)
O (0.608, 0.757, 0.695)
O (0.392, 0.243, 0.305)
O (0.837, 0.791, 0.471)
O (0.116, 0.751, 0.583)
O (0.602, 0.069, 0.728)
As (0.248, 0.949, 0.807)
O (0.887, 0.746, 0.715)
O (0.204, 0.387, 0.661)
As (0.247, 0.513, 0.530)
Ag (0.435, 0.006, 0.025)
Ag (0.560, 0.490, 0.717)
O (0.663, 0.791, 0.971)
O (0.255, 0.521, 0.875)
O (0.944, 0.749, 0.429)
O (0.999, 0.605, 0.299)
As (0.901, 0.273, 0.058)
As (0.748, 0.051, 0.693)
O (0.624, 0.067, 0.233)
O (0.163, 0.209, 0.529)
O (0.062, 0.262, 0.056)
O (0.232, 0.738, 0.478)
Ag (0.813, 0.308, 0.285)
As (0.510, 0.817, 0.348)
Ag (0.313, 0.755, 0.664)
O (0.620, 0.443, 0.568)
Ag (0.187, 0.755, 0.164)
U (0.137, 0.223, 0.671)
Ag (0.928, 0.522, 0.698)
U (0.357, 0.248, 0.641)
O (0.535, 0.331, 0.523)
O (0.958, 0.247, 0.559)
As (0.747, 0.487, 0.970)
O (0.876, 0.067, 0.733)
O (0.328, 0.242, 0.501)
O (0.209, 0.092, 0.296)
Ag (0.244, 0.229, 0.411)
O (0.113, 0.254, 0.285)
O (0.938, 0.738, 0.944)
O (0.751, 0.074, 0.333)
As (0.753, 0.487, 0.470)
O (0.268, 0.738, 0.978)
O (0.495, 0.161, 0.811)
As (0.494, 0.243, 0.163)
As (0.990, 0.817, 0.848)
O (0.102, 0.931, 0.772)
O (0.378, 0.546, 0.962)
O (0.005, 0.161, 0.311)
As (0.107, 0.744, 0.436)
O (0.614, 0.283, 0.408)
O (0.302, 0.465, 0.613)
As (0.607, 0.256, 0.064)
O (0.501, 0.605, 0.799)
O (0.114, 0.717, 0.092)
O (0.499, 0.395, 0.201)
Ag (0.440, 0.510, 0.283)
O (0.755, 0.479, 0.625)
U (0.363, 0.223, 0.171)
O (0.502, 0.979, 0.666)
O (0.387, 0.254, 0.785)
O (0.124, 0.933, 0.267)
O (0.704, 0.613, 0.839)
O (0.002, 0.021, 0.834)
O (0.458, 0.753, 0.941)
As (0.401, 0.727, 0.442)
Ag (0.072, 0.478, 0.302)
O (0.384, 0.751, 0.083)
Ag (0.940, 0.490, 0.217)
O (0.505, 0.839, 0.189)
O (0.386, 0.717, 0.592)
O (0.898, 0.069, 0.228)
Ag (0.428, 0.478, 0.802)
O (0.672, 0.758, 0.499)
O (0.291, 0.092, 0.796)
O (0.796, 0.613, 0.339)
Ag (0.687, 0.308, 0.785)
O (0.337, 0.209, 0.029)
As (0.599, 0.273, 0.558)
O (0.806, 0.006, 0.153)
O (0.001, 0.395, 0.701)
Ag (0.256, 0.229, 0.911)
O (0.880, 0.443, 0.068)
O (0.194, 0.994, 0.847)
O (0.465, 0.669, 0.477)
O (0.622, 0.454, 0.038)
Ag (0.935, 0.994, 0.475)
U (0.643, 0.752, 0.359)
Ag (0.744, 0.771, 0.089)
Ag (0.565, 0.994, 0.975)
As (0.490, 0.183, 0.652)
As (0.994, 0.757, 0.337)
O (0.749, 0.074, 0.833)
O (0.892, 0.757, 0.195)
O (0.376, 0.933, 0.767)
O (0.995, 0.839, 0.689)
O (0.998, 0.979, 0.166)
As (0.006, 0.243, 0.663)
As (0.506, 0.757, 0.837)
Ag (0.572, 0.522, 0.198)
O (0.249, 0.926, 0.667)
O (0.198, 0.465, 0.113)
O (0.732, 0.262, 0.022)
O (0.122, 0.546, 0.462)
O (0.878, 0.454, 0.538)
As (0.752, 0.051, 0.193)
O (0.498, 0.021, 0.334)
O (0.828, 0.758, 0.999)
U (0.857, 0.752, 0.859)
O (0.296, 0.387, 0.161)
O (0.694, 0.006, 0.653)
As (0.099, 0.727, 0.942)
O (0.380, 0.557, 0.432)
O (0.791, 0.908, 0.704)
O (0.802, 0.535, 0.887)
O (0.542, 0.247, 0.059)
O (0.965, 0.331, 0.023)
Ag (0.060, 0.510, 0.783)
O (0.556, 0.749, 0.929)
O (0.245, 0.521, 0.375)
O (0.886, 0.283, 0.908)
O (0.745, 0.479, 0.125)
O (0.616, 0.249, 0.917)
O (0.709, 0.908, 0.204)
O (0.613, 0.746, 0.215)
O (0.884, 0.249, 0.417)
O (0.768, 0.262, 0.522)
O (0.444, 0.251, 0.071)
O (0.438, 0.262, 0.556)
Ag (0.313, 0.692, 0.215)
Ag (0.687, 0.245, 0.336)
O (0.035, 0.669, 0.977)
As (0.393, 0.744, 0.936)
U (0.637, 0.777, 0.829)
As (0.893, 0.256, 0.564)
Ag (0.187, 0.692, 0.715)
O (0.120, 0.557, 0.932)
Ag (0.756, 0.771, 0.589)



3.
VASP calculation (PBE) on Zn3AgAs3O12 after structural relaxation.

Output
- Calculated formation energy: -1.4777 eV per atom

Cell: 8.762 8.762 6.909 Å, 74.47 74.47 94.47°
Fractional coordinates of all 38 atoms:
O (0.527, 0.721, 0.164)
As (0.308, 0.692, 0.750)
Ag (0.993, 0.007, 0.250)
O (0.806, 0.270, 0.023)
As (0.110, 0.345, 0.385)
O (0.270, 0.806, 0.523)
O (0.139, 0.140, 0.915)
O (0.730, 0.507, 0.235)
As (0.890, 0.655, 0.615)
Zn (0.048, 0.372, 0.879)
O (0.860, 0.861, 0.585)
Zn (0.283, 0.717, 0.250)
As (0.655, 0.890, 0.115)
Zn (0.717, 0.283, 0.750)
O (0.279, 0.473, 0.336)
O (0.675, 0.023, 0.869)
Zn (0.952, 0.628, 0.121)
O (0.270, 0.493, 0.765)
O (0.507, 0.730, 0.735)
O (0.607, 0.978, 0.314)
O (0.730, 0.194, 0.477)
O (0.022, 0.393, 0.186)
O (0.393, 0.022, 0.686)
O (0.721, 0.527, 0.664)
O (0.977, 0.325, 0.631)
O (0.978, 0.607, 0.814)
O (0.194, 0.730, 0.977)
O (0.493, 0.270, 0.265)
As (0.345, 0.110, 0.885)
O (0.140, 0.139, 0.415)
Zn (0.628, 0.952, 0.621)
O (0.325, 0.977, 0.131)
As (0.692, 0.308, 0.250)
O (0.023, 0.675, 0.369)
O (0.861, 0.860, 0.085)
Ag (0.007, 0.993, 0.750)
O (0.473, 0.279, 0.836)
Zn (0.372, 0.048, 0.379)



4.
VASP calculation (PBE) on ZnAgAsO5 after structural relaxation.

Output
- Calculated formation energy: -1.2528 eV per atom

Cell: 6.286 8.003 9.289 Å, 90.00 90.00 90.00°
Fractional coordinates of all 32 atoms:
O (0.002, 0.078, 0.460)
O (0.457, 0.269, 0.986)
O (0.244, 0.898, 0.256)
O (0.498, 0.922, 0.960)
O (0.543, 0.769, 0.514)
O (0.698, 0.122, 0.753)
Zn (0.982, 0.216, 0.806)
As (0.021, 0.886, 0.362)
Zn (0.482, 0.284, 0.194)
O (0.744, 0.602, 0.744)
As (0.479, 0.114, 0.862)
Ag (0.249, 0.249, 0.503)
As (0.521, 0.614, 0.638)
Ag (0.749, 0.251, 0.497)
O (0.756, 0.398, 0.244)
O (0.498, 0.151, 0.385)
O (0.256, 0.102, 0.756)
O (0.002, 0.849, 0.885)
O (0.502, 0.422, 0.540)
Zn (0.518, 0.784, 0.306)
O (0.802, 0.878, 0.253)
Zn (0.018, 0.716, 0.694)
O (0.998, 0.349, 0.615)
O (0.302, 0.622, 0.747)
O (0.198, 0.378, 0.247)
As (0.979, 0.386, 0.138)
O (0.957, 0.231, 0.014)
Ag (0.751, 0.749, 0.997)
O (0.043, 0.731, 0.486)
O (0.998, 0.578, 0.040)
O (0.502, 0.651, 0.115)
Ag (0.251, 0.751, 0.003)



5.
VASP calculation (PBE) on AgAsPbS3 after structural relaxation.

Output
- Calculated formation energy: -0.5039 eV per atom

Cell: 12.718 6.117 7.557 Å, 89.02 90.00 90.00°
Fractional coordinates of all 24 atoms:
S (0.129, 0.902, 0.344)
Ag (0.264, 0.809, 0.111)
S (0.549, 0.279, 0.666)
Pb (0.587, 0.738, 0.654)
S (0.782, 0.617, 0.857)
As (0.404, 0.271, 0.849)
S (0.871, 0.098, 0.656)
S (0.718, 0.617, 0.357)
Ag (0.236, 0.809, 0.611)
Ag (0.764, 0.191, 0.389)
S (0.451, 0.721, 0.334)
Pb (0.413, 0.262, 0.346)
Pb (0.087, 0.262, 0.846)
S (0.049, 0.721, 0.834)
S (0.282, 0.383, 0.643)
S (0.629, 0.098, 0.156)
S (0.218, 0.383, 0.143)
Ag (0.736, 0.191, 0.889)
As (0.596, 0.729, 0.151)
As (0.096, 0.271, 0.349)
S (0.951, 0.279, 0.166)
Pb (0.913, 0.738, 0.154)
As (0.904, 0.729, 0.651)
S (0.371, 0.902, 0.844)



6.
VASP calculation (PBE) on PrAgAs2 after structural relaxation.

Output
- Calculated formation energy: -0.7729 eV per atom

Cell: 4.080 4.128 21.400 Å, 90.00 90.00 90.00°
Fractional coordinates of all 16 atoms:
Pr (0.750, 0.225, 0.384)
Pr (0.250, 0.775, 0.616)
As (0.250, 0.200, 0.002)
Ag (0.750, 0.776, 0.750)
As (0.750, 0.276, 0.662)
As (0.250, 0.724, 0.338)
Ag (0.250, 0.224, 0.250)
Pr (0.750, 0.275, 0.884)
As (0.250, 0.300, 0.502)
Pr (0.250, 0.725, 0.116)
Ag (0.250, 0.276, 0.750)
As (0.750, 0.800, 0.998)
As (0.750, 0.224, 0.162)
As (0.750, 0.700, 0.498)
Ag (0.750, 0.724, 0.250)
As (0.250, 0.776, 0.838)